[1]
A relaxed structure of Ca3Mn2Si4O14, computed with PBE with a Hubbard U.

The structure in extended XYZ format:
```
46
Lattice="8.587 -3.870 0.000 8.587 3.870 0.000 -5.579 0.000 8.510" Properties=species:S:1:pos:R:3 pbc="T T T"
Ca 4.403 2.675 6.383
Ca 2.196 0.269 4.611
Ca 4.985 -0.269 0.356
Ca 6.610 0.269 8.154
Ca 9.400 -0.269 3.899
Ca 7.192 -2.675 2.128
Mn 7.192 1.658 2.128
Mn 8.587 0.000 0.000
Mn 5.798 0.000 4.255
Mn 4.403 -1.658 6.383
Si 4.439 2.636 3.014
Si 0.845 2.232 7.159
Si 9.946 2.636 1.241
Si 7.960 2.232 5.607
Si 3.635 -2.232 2.903
Si 1.650 -2.636 7.269
Si 10.750 -2.232 1.352
Si 7.156 -2.636 5.496
O 3.762 2.096 1.578
O 1.667 2.232 5.769
O 5.943 3.129 2.641
O 8.442 3.129 1.615
O 2.327 0.072 0.798
O -0.462 -0.072 5.053
O 4.299 1.628 4.287
O 1.330 1.245 8.355
O 4.506 1.628 8.479
O 7.138 2.232 6.996
O 5.878 0.297 2.394
O 7.476 1.245 4.410
O 10.623 2.096 2.677
O 3.088 -0.297 6.649
O 8.507 0.297 1.861
O 0.973 -2.096 5.833
O 4.120 -1.245 4.100
O 5.718 -0.297 6.116
O 4.457 -2.232 1.514
O 7.089 -1.628 0.032
O 10.265 -1.245 0.155
O 7.296 -1.628 4.224
O 12.058 0.072 3.457
O 9.268 -0.072 7.712
O 3.153 -3.129 6.896
O 5.652 -3.129 5.870
O 9.928 -2.232 2.741
O 7.833 -2.096 6.932
```

**DFT formation energy**: -3.101 eV per atom

***

[2]
A relaxed structure of Li3CoRuO5, computed with PBE with a Hubbard U.

The structure in extended XYZ format:
```
20
Lattice="2.590 -7.492 0.000 2.590 7.492 0.000 -1.694 0.000 4.839" Properties=species:S:1:pos:R:3 pbc="T T T"
Li 0.000 0.000 0.000
Li 1.743 6.018 2.419
Li 1.743 2.985 2.419
Li 1.743 0.000 2.419
Li 1.743 -2.985 2.419
Li 1.743 -6.018 2.419
Co 2.590 4.530 0.000
Co 2.590 -4.530 0.000
Ru 2.590 1.510 0.000
Ru 2.590 -1.510 0.000
O 0.060 2.921 3.708
O 0.969 1.529 1.110
O 0.110 0.000 3.710
O 0.969 -1.529 1.110
O 0.060 -2.921 3.708
O 3.425 2.921 1.131
O 2.517 1.529 3.729
O 3.375 0.000 1.129
O 2.517 -1.529 3.729
O 3.425 -2.921 1.131
```

**DFT formation energy**: -1.718 eV per atom

***

Which value of DFT formation energy does entry 1 give? -3.101 eV per atom